The following is a DFT calculation (PBE with a Hubbard U) of a geometry-optimized Li3Fe3O8 structure.

abc: 5.861 5.861 9.907
angles: 90.00 90.00 120.00
Element x y z (fractional)
O: 0.154 0.846 0.613
O: 0.000 0.000 0.820
Fe: 0.831 0.169 0.715
Li: 0.667 0.333 0.000
Fe: 0.831 0.663 0.715
Li: 0.000 0.000 0.001
O: 0.846 0.154 0.113
O: 0.000 0.000 0.320
Fe: 0.169 0.337 0.215
O: 0.517 0.483 0.821
O: 0.034 0.517 0.321
O: 0.517 0.034 0.821
O: 0.966 0.483 0.821
O: 0.308 0.154 0.113
Fe: 0.663 0.831 0.215
Li: 0.333 0.667 0.888
O: 0.483 0.517 0.321
O: 0.154 0.308 0.613
O: 0.333 0.667 0.100
Fe: 0.169 0.831 0.215
O: 0.667 0.333 0.600
Li: 0.333 0.667 0.500
Li: 0.000 0.000 0.501
O: 0.483 0.966 0.321
O: 0.846 0.692 0.113
Li: 0.667 0.333 0.388
Fe: 0.337 0.169 0.715
O: 0.692 0.846 0.613

Symmetry ... No. 186
E above lowest polymorph ... 0.040 eV per atom
Energy of formation from the pure elements ... -1.564 eV/atom